Record 1
A plane-wave DFT calculation with meta-GGA r2SCAN was carried out for YMn4Al8 after structural relaxation.

The structure in POSCAR format:
```
YMn4Al8
1.0
-4.4108 4.4108 2.6039
4.4108 -4.4108 2.6039
4.4108 4.4108 -2.6039
Y Mn Al
1 4 8
direct
0.0000 0.0000 0.0000 Y
0.0000 0.0000 0.5000 Mn
0.0000 0.5000 0.0000 Mn
0.5000 0.0000 0.0000 Mn
0.5000 0.5000 0.5000 Mn
0.0000 0.3420 0.3420 Al
0.0000 0.6580 0.6580 Al
0.2739 0.5000 0.7739 Al
0.3420 0.0000 0.3420 Al
0.5000 0.2739 0.7739 Al
0.5000 0.7261 0.2261 Al
0.6580 0.0000 0.6580 Al
0.7261 0.5000 0.2261 Al
```

Values from the calculation:
Energy relative to the elements   -0.411 eV per atom
Symmetry   I4/mmm, No. 139



Record 2
A plane-wave DFT calculation with meta-GGA r2SCAN was carried out for V3Se4 after structural relaxation.

The structure in POSCAR format:
```
V3Se4
1.0
13.4198 0.0000 0.0000
0.0000 3.4242 0.0000
-2.6861 0.0000 5.5502
V Se
6 8
direct
0.0000 0.0000 0.0000 V
0.2448 0.5000 0.6768 V
0.2552 0.0000 0.3232 V
0.5000 0.5000 0.0000 V
0.7448 0.0000 0.6768 V
0.7552 0.5000 0.3232 V
0.1092 0.0000 0.4550 Se
0.1418 0.5000 0.9832 Se
0.3582 0.0000 0.0168 Se
0.3908 0.5000 0.5450 Se
0.6092 0.5000 0.4550 Se
0.6418 0.0000 0.9832 Se
0.8582 0.5000 0.0168 Se
0.8908 0.0000 0.5450 Se
```

Values from the calculation:
Energy relative to the elements   -0.914 eV per atom
Symmetry   C2/m, No. 12



Record 3
A plane-wave DFT calculation with meta-GGA r2SCAN was carried out for CaFeO2 after structural relaxation.

The structure in POSCAR format:
```
CaFeO2
1.0
3.2360 0.0000 0.0000
0.0499 7.7101 0.0000
0.0427 2.4702 7.5035
Ca Fe O
4 4 8
direct
0.2350 0.4336 0.1845 Ca
0.2391 0.7037 0.4318 Ca
0.7609 0.2963 0.5682 Ca
0.7650 0.5664 0.8155 Ca
0.2683 0.9357 0.6971 Fe
0.2991 0.1621 0.9487 Fe
0.7009 0.8379 0.0513 Fe
0.7317 0.0643 0.3029 Fe
0.1799 0.9476 0.1782 O
0.2647 0.4315 0.6921 O
0.2656 0.7070 0.9451 O
0.2677 0.1647 0.4281 O
0.7323 0.8353 0.5719 O
0.7344 0.2930 0.0549 O
0.7353 0.5685 0.3079 O
0.8201 0.0524 0.8218 O
```

Values from the calculation:
Energy relative to the elements   -2.192 eV per atom
Symmetry   P-1, No. 2



Record 4
A plane-wave DFT calculation with meta-GGA r2SCAN was carried out for Dy2Co3Ge5 after structural relaxation.

The structure in POSCAR format:
```
Dy2Co3Ge5
1.0
5.4818 -5.8581 0.0000
5.4818 5.8581 0.0000
-2.8178 0.0000 4.9730
Dy Co Ge
4 6 10
direct
0.0966 0.3721 0.2336 Dy
0.3721 0.0966 0.7336 Dy
0.6279 0.9034 0.2664 Dy
0.9034 0.6279 0.7664 Dy
0.0407 0.7614 0.3799 Co
0.2386 0.9593 0.1201 Co
0.4955 0.5045 0.2500 Co
0.5045 0.4955 0.7500 Co
0.7614 0.0407 0.8799 Co
0.9593 0.2386 0.6201 Co
0.0089 0.9911 0.7500 Ge
0.2388 0.4263 0.8277 Ge
0.2693 0.7307 0.7500 Ge
0.2826 0.7174 0.2500 Ge
0.4263 0.2388 0.3277 Ge
0.5737 0.7612 0.6723 Ge
0.7174 0.2826 0.7500 Ge
0.7307 0.2693 0.2500 Ge
0.7612 0.5737 0.1723 Ge
0.9911 0.0089 0.2500 Ge
```

Values from the calculation:
Energy relative to the elements   -0.551 eV per atom
Symmetry   C2/c, No. 15



Record 5
A plane-wave DFT calculation with meta-GGA r2SCAN was carried out for As2S3 after structural relaxation.

The structure in POSCAR format:
```
As2S3
1.0
5.8143 0.0000 0.0000
0.0141 8.9569 0.0000
2.4247 2.0611 10.1081
As S
8 12
direct
0.0665 0.1393 0.3286 As
0.1798 0.8281 0.1664 As
0.3762 0.6751 0.8301 As
0.3927 0.3590 0.6754 As
0.6073 0.6410 0.3246 As
0.6238 0.3249 0.1699 As
0.8202 0.1719 0.8336 As
0.9335 0.8607 0.6714 As
0.0599 0.2702 0.6319 S
0.0964 0.0776 0.1267 S
0.2456 0.3760 0.2536 S
0.2550 0.4261 0.8752 S
0.3021 0.7707 0.6285 S
0.4936 0.8776 0.2462 S
0.5064 0.1224 0.7538 S
0.6979 0.2293 0.3715 S
0.7450 0.5739 0.1248 S
0.7544 0.6240 0.7464 S
0.9036 0.9224 0.8733 S
0.9401 0.7298 0.3681 S
```

Values from the calculation:
Energy relative to the elements   -0.157 eV per atom
Symmetry   P-1, No. 2



Record 6
A plane-wave DFT calculation with meta-GGA r2SCAN was carried out for Ba5Sn3 after structural relaxation.

The structure in POSCAR format:
```
Ba5Sn3
1.0
-4.5429 4.5429 8.6358
4.5429 -4.5429 8.6358
4.5429 4.5429 -8.6358
Ba Sn
10 6
direct
0.0000 0.0000 0.0000 Ba
0.0384 0.5384 0.8602 Ba
0.1782 0.0384 0.5000 Ba
0.3218 0.8218 0.8602 Ba
0.4616 0.3218 0.5000 Ba
0.5000 0.5000 0.0000 Ba
0.5384 0.6782 0.5000 Ba
0.6782 0.1782 0.1398 Ba
0.8218 0.9616 0.5000 Ba
0.9616 0.4616 0.1398 Ba
0.1143 0.3857 0.5000 Sn
0.2500 0.2500 0.0000 Sn
0.3857 0.8857 0.2714 Sn
0.6143 0.1143 0.7286 Sn
0.7500 0.7500 0.0000 Sn
0.8857 0.6143 0.5000 Sn
```

Values from the calculation:
Energy relative to the elements   -0.713 eV per atom
Symmetry   I4/mcm, No. 140



Record 7
A plane-wave DFT calculation with meta-GGA r2SCAN was carried out for PrCdNi4 after structural relaxation.

The structure in POSCAR format:
```
PrCdNi4
1.0
0.0000 3.5461 3.5461
3.5461 0.0000 3.5461
3.5461 3.5461 0.0000
Pr Cd Ni
1 1 4
direct
0.0000 0.0000 0.0000 Pr
0.7500 0.7500 0.7500 Cd
0.3765 0.3765 0.3765 Ni
0.3765 0.3765 0.8704 Ni
0.3765 0.8704 0.3765 Ni
0.8704 0.3765 0.3765 Ni
```

Values from the calculation:
Energy relative to the elements   -0.218 eV per atom
Symmetry   F-43m, No. 216



Record 8
A plane-wave DFT calculation with meta-GGA r2SCAN was carried out for K2TaF7 after structural relaxation.

The structure in POSCAR format:
```
K2TaF7
1.0
5.7865 0.0000 0.0000
0.0000 12.6359 0.0000
-0.0097 0.0000 8.4603
K Ta F
8 4 28
direct
0.2364 0.0594 0.3191 K
0.2364 0.4406 0.8191 K
0.2386 0.7177 0.4462 K
0.2386 0.7823 0.9462 K
0.7614 0.2177 0.0538 K
0.7614 0.2823 0.5538 K
0.7636 0.5594 0.1809 K
0.7636 0.9406 0.6809 K
0.2721 0.1287 0.7780 Ta
0.2721 0.3713 0.2780 Ta
0.7279 0.6287 0.7220 Ta
0.7279 0.8713 0.2220 Ta
0.0410 0.1078 0.6080 F
0.0410 0.3922 0.1080 F
0.0417 0.2444 0.8006 F
0.0417 0.2556 0.3006 F
0.1876 0.1233 0.0003 F
0.1876 0.3767 0.5003 F
0.2093 0.5231 0.2864 F
0.2093 0.9769 0.7864 F
0.4359 0.5772 0.6301 F
0.4359 0.9228 0.1301 F
0.4611 0.2417 0.2914 F
0.4611 0.2583 0.7914 F
0.4651 0.1104 0.5881 F
0.4651 0.3896 0.0881 F
0.5349 0.6104 0.9119 F
0.5349 0.8896 0.4119 F
0.5389 0.7417 0.2086 F
0.5389 0.7583 0.7086 F
0.5641 0.0772 0.8699 F
0.5641 0.4228 0.3699 F
0.7907 0.0231 0.2136 F
0.7907 0.4769 0.7136 F
0.8124 0.6233 0.4997 F
0.8124 0.8767 0.9997 F
0.9583 0.7444 0.6994 F
0.9583 0.7556 0.1994 F
0.9590 0.6078 0.8920 F
0.9590 0.8922 0.3920 F
```

Values from the calculation:
Distance to the lowest polymorph of the same formula   0.00 eV per formula unit
Energy relative to the elements   -3.431 eV per atom
Symmetry   P2_1/c, No. 14



> The lowest energy relative to the elements belongs to which entry?

K2TaF7



Repeat the fourth record exactly.
A plane-wave DFT calculation with meta-GGA r2SCAN was carried out for Dy2Co3Ge5 after structural relaxation.

The structure in POSCAR format:
```
Dy2Co3Ge5
1.0
5.4818 -5.8581 0.0000
5.4818 5.8581 0.0000
-2.8178 0.0000 4.9730
Dy Co Ge
4 6 10
direct
0.0966 0.3721 0.2336 Dy
0.3721 0.0966 0.7336 Dy
0.6279 0.9034 0.2664 Dy
0.9034 0.6279 0.7664 Dy
0.0407 0.7614 0.3799 Co
0.2386 0.9593 0.1201 Co
0.4955 0.5045 0.2500 Co
0.5045 0.4955 0.7500 Co
0.7614 0.0407 0.8799 Co
0.9593 0.2386 0.6201 Co
0.0089 0.9911 0.7500 Ge
0.2388 0.4263 0.8277 Ge
0.2693 0.7307 0.7500 Ge
0.2826 0.7174 0.2500 Ge
0.4263 0.2388 0.3277 Ge
0.5737 0.7612 0.6723 Ge
0.7174 0.2826 0.7500 Ge
0.7307 0.2693 0.2500 Ge
0.7612 0.5737 0.1723 Ge
0.9911 0.0089 0.2500 Ge
```

Values from the calculation:
Energy relative to the elements   -0.551 eV per atom
Symmetry   C2/c, No. 15



> Which formula does entry 3 have?

CaFeO2



> Which formula does entry 2 have?

V3Se4